# 1
KMg6AlO8 | the Materials Project | PBE-GGA | optimized geometry; magnetic moment = 0.02 Bohr magnetons per cell; ΔE to the lowest computed polymorph = 0 meV per atom; energy with MP2020 corrections = -6.085 eV per atom
1.0
8.473 0.000 0.000
0.000 4.464 0.000
0.000 0.000 4.464
O Mg K Al
8 6 1 1
direct
0.000 0.000 0.500
0.500 0.500 0.000
0.209 0.000 0.000
0.791 0.000 0.000
0.247 0.500 0.500
0.500 0.000 0.500
0.753 0.500 0.500
0.000 0.500 0.000
0.745 0.000 0.500
0.255 0.000 0.500
0.745 0.500 0.000
0.255 0.500 0.000
0.000 0.500 0.500
0.500 0.500 0.500
0.500 0.000 0.000
0.000 0.000 0.000

# 2
Zr6Ga16Rh7 | the Materials Project | PBE-GGA | optimized geometry; magnetic moment = 0.54 Bohr magnetons per cell; total energy = -5.8725 eV/atom
1.0
8.153 0.200 -3.286
5.640 -6.490 1.837
2.350 -5.690 -6.277
Ga Rh Zr
16 7 6
direct
0.122 0.634 0.122
0.634 0.122 0.122
0.657 0.657 0.657
0.878 0.878 0.366
0.878 0.878 0.878
0.343 0.972 0.343
0.343 0.343 0.972
0.122 0.122 0.122
0.028 0.657 0.657
0.657 0.028 0.657
0.122 0.122 0.634
0.972 0.343 0.343
0.657 0.657 0.028
0.878 0.366 0.878
0.343 0.343 0.343
0.366 0.878 0.878
0.000 0.500 0.500
0.000 0.000 0.000
0.500 0.500 0.000
0.500 0.000 0.500
0.500 0.000 0.000
0.000 0.500 0.000
0.000 0.000 0.500
0.305 0.695 0.695
0.695 0.305 0.695
0.695 0.695 0.305
0.695 0.305 0.305
0.305 0.695 0.305
0.305 0.305 0.695

# 3
Tm4MnS7 | the Materials Project | PBE-GGA | optimized geometry; magnetic moment = 4.99 Bohr magnetons per cell; energy with MP2020 corrections = -6.745 eV per atom
1.0
-1.379 -3.466 -5.299
1.484 -1.203 -6.192
7.139 -8.824 0.540
Mn S Tm
1 7 4
direct
0.886 0.886 0.421
0.744 0.744 0.641
0.339 0.339 0.051
0.035 0.035 0.225
0.660 0.660 0.949
0.494 0.494 0.498
0.267 0.267 0.352
0.963 0.963 0.785
0.693 0.693 0.203
0.306 0.306 0.803
0.114 0.114 0.568
0.000 0.000 0.005

# 4
ZnCo3 | the Materials Project | PBE-GGA | optimized geometry; magnetic moment = 4.45 Bohr magnetons per cell; total energy = -5.5990 eV/atom
1.0
1.738 3.715 1.547
-2.807 1.895 2.783
1.568 -4.086 -0.250
Zn Co
1 3
direct
0.000 0.000 0.000
0.500 0.500 0.000
0.250 0.750 0.500
0.750 0.250 0.500